(1)
Compound: Ba3LaInW2O12
Source: the Materials Project database
Functional: GGA+U
Structure: optimized geometry

Summary:
Calculated formation energy: -2791 meV per atom
Crystal system: trigonal
Magnetization: 0.00 μB/f.u.
Final energy: -7.087 eV/atom
Symmetry: R3m

abc: 9.9065 9.9065 9.9065
angles: 34.13 34.13 34.13
With the nearest neighbours (Å) after each atom.
Fractional positions:
1 Ba 0.0000 0.0000 0.0000  12 O 2.80-3.02
2 Ba 0.1568 0.1568 0.1568  12 O 2.78-2.96
3 Ba 0.5779 0.5779 0.5779  12 O 2.87-2.97
4 La 0.4297 0.4297 0.4297  3 O 2.52
5 In 0.2887 0.2887 0.2887  6 O 2.15-2.20
6 W 0.7112 0.7112 0.7112  6 O 1.89-2.03
7 W 0.8649 0.8649 0.8649  6 O 1.93-2.01
8 O 0.0668 0.0668 0.5915  1 W 2.01, 1 In 2.20
9 O 0.0668 0.5915 0.0668  1 W 2.01, 1 In 2.20
10 O 0.1557 0.6656 0.6656  1 W 1.93
11 O 0.4218 0.9072 0.9072  1 W 1.89
12 O 0.5069 0.5069 0.9879  1 W 2.03, 1 In 2.15
13 O 0.5069 0.9879 0.5069  1 W 2.03, 1 In 2.15
14 O 0.5915 0.0668 0.0668  1 W 2.01, 1 In 2.20
15 O 0.6656 0.1557 0.6656  1 W 1.93
16 O 0.6656 0.6656 0.1557  1 W 1.93
17 O 0.9072 0.4218 0.9072  1 W 1.89
18 O 0.9072 0.9072 0.4218  1 W 1.89
19 O 0.9879 0.5069 0.5069  1 W 2.03, 1 In 2.15

(2)
Compound: KSmMn4O12
Source: the Materials Project database
Functional: GGA+U
Structure: optimized geometry

Summary:
Calculated formation energy: -1644 meV per atom
Crystal system: orthorhombic
Magnetization: 11.82 μB/f.u.
Final energy: -6.474 eV/atom
Symmetry: Amm2

abc: 7.6040 5.3543 5.3543
angles: 89.62 90.00 90.00
With the nearest neighbours (Å) after each atom.
Fractional positions:
1 K 0.0000 0.0000 0.0000  10 O 2.61-2.80
2 Sm 0.5000 0.5173 0.5173  10 O 2.43-2.57
3 Mn 0.2427 0.0123 0.5095  6 O 1.86-1.97
4 Mn 0.2427 0.5095 0.0123  6 O 1.86-1.97
5 Mn 0.7573 0.0123 0.5095  6 O 1.86-1.97
6 Mn 0.7573 0.5095 0.0123  6 O 1.86-1.97
7 O 0.0000 0.0469 0.4841  2 Mn 1.86
8 O 0.0000 0.4841 0.0469  2 Mn 1.86
9 O 0.2415 0.7219 0.7219  2 Mn 1.92
10 O 0.2775 0.2500 0.7617  2 Mn 1.88-1.96
11 O 0.2775 0.7617 0.2500  2 Mn 1.88-1.96
12 O 0.2905 0.2764 0.2764  2 Mn 1.91
13 O 0.5000 0.5273 0.9729  2 Mn 1.97
14 O 0.5000 0.9729 0.5273  2 Mn 1.97
15 O 0.7095 0.2764 0.2764  2 Mn 1.91
16 O 0.7225 0.2500 0.7617  2 Mn 1.88-1.96
17 O 0.7225 0.7617 0.2500  2 Mn 1.88-1.96
18 O 0.7585 0.7219 0.7219  2 Mn 1.92

(3)
Compound: Sr2FeClO3
Source: the Materials Project database
Functional: GGA+U
Structure: optimized geometry

Summary:
Calculated formation energy: -2565 meV per atom
Magnetization: 0.00 μB/f.u.
Final energy: -6.025 eV/atom

abc: 5.6209 5.6206 14.4614
angles: 90.00 90.00 90.00
With the nearest neighbours (Å) after each atom.
Fractional positions:
1 Fe 0.7500 0.0000 0.2076  5 O 1.92-2.02
2 Fe 0.2500 0.5000 0.2076  5 O 1.92-2.02
3 Fe 0.2500 0.0000 0.7924  5 O 1.92-2.02
4 Fe 0.7500 0.5000 0.7924  5 O 1.92-2.02
5 Sr 0.7500 0.5000 0.3440  4 O 2.57
6 Sr 0.2500 0.5000 0.6560  4 O 2.57
7 Sr 0.7500 0.0000 0.9043  1 O 2.47
8 Sr 0.2500 0.0000 0.0957  1 O 2.47
9 Sr 0.7500 0.0000 0.6560  4 O 2.57
10 Sr 0.2500 0.5000 0.9043  1 O 2.47
11 Sr 0.7500 0.5000 0.0957  1 O 2.47
12 Sr 0.2500 0.0000 0.3440  4 O 2.57
13 O 0.0000 0.7500 0.7691  2 Fe 2.02
14 O 0.7500 0.5000 0.9252  1 Fe 1.92
15 O 0.7500 0.0000 0.0748  1 Fe 1.92
16 O 0.5000 0.7500 0.2309  2 Fe 2.02
17 O 0.2500 0.0000 0.9252  1 Fe 1.92
18 O 0.5000 0.2500 0.2309  2 Fe 2.02
19 O 0.0000 0.2500 0.7691  2 Fe 2.02
20 O 0.0000 0.2500 0.2309  2 Fe 2.02
21 O 0.5000 0.2500 0.7691  2 Fe 2.02
22 O 0.2500 0.5000 0.0748  1 Fe 1.92
23 O 0.0000 0.7500 0.2309  2 Fe 2.02
24 O 0.5000 0.7500 0.7691  2 Fe 2.02
25 Cl 0.7500 0.0000 0.4243  5 Sr 3.04-3.35, 1 Fe 3.13
26 Cl 0.7500 0.5000 0.5757  5 Sr 3.04-3.35, 1 Fe 3.13
27 Cl 0.2500 0.0000 0.5757  5 Sr 3.04-3.35, 1 Fe 3.13
28 Cl 0.2500 0.5000 0.4243  5 Sr 3.04-3.35, 1 Fe 3.13

(4)
Compound: V3P6O20
Source: the Materials Project database
Functional: GGA+U
Structure: optimized geometry

Summary:
Calculated formation energy: -2631 meV per atom
Crystal system: orthorhombic
ΔE to the lowest computed polymorph: 0.000 eV per atom
Magnetization: 5.00 μB/f.u.
Final energy: -7.453 eV/atom
Symmetry: C222_1

abc: 8.4386 8.4386 12.3459
angles: 90.00 90.00 105.18
With the nearest neighbours (Å) after each atom.
Fractional positions:
1 V 0.2054 0.7946 0.7500  6 O 1.93-1.99
2 V 0.2618 0.7382 0.2500  6 O 1.98-2.02
3 V 0.3604 0.3604 0.0000  4 O 1.85-1.87
4 V 0.6396 0.6396 0.5000  4 O 1.85-1.87
5 V 0.7382 0.2618 0.7500  6 O 1.98-2.02
6 V 0.7946 0.2054 0.2500  6 O 1.93-1.99
7 P 0.1304 0.4075 0.6811  4 O 1.50-1.61
8 P 0.1988 0.3206 0.2235  4 O 1.51-1.63
9 P 0.2433 0.6497 0.5146  4 O 1.51-1.64
10 P 0.3206 0.1988 0.7765  4 O 1.51-1.63
11 P 0.3503 0.7567 0.9854  4 O 1.51-1.64
12 P 0.4075 0.1304 0.3189  4 O 1.50-1.61
13 P 0.5925 0.8696 0.8189  4 O 1.50-1.61
14 P 0.6497 0.2433 0.4854  4 O 1.51-1.64
15 P 0.6794 0.8012 0.2765  4 O 1.51-1.63
16 P 0.7567 0.3503 0.0146  4 O 1.51-1.64
17 P 0.8012 0.6794 0.7235  4 O 1.51-1.63
18 P 0.8696 0.5925 0.1811  4 O 1.50-1.61
19 O 0.0284 0.2362 0.2635  1 P 1.51
20 O 0.0291 0.7181 0.2016  1 P 1.50
21 O 0.1405 0.4671 0.5572  2 P 1.61-1.64
22 O 0.1728 0.5552 0.7556  1 P 1.51
23 O 0.1919 0.6593 0.3981  1 P 1.51
24 O 0.1976 0.7741 0.5890  1 P 1.52
25 O 0.2259 0.8024 0.9110  1 P 1.52
26 O 0.2362 0.0284 0.7365  1 P 1.51
27 O 0.2396 0.2442 0.1157  1 P 1.56
28 O 0.2400 0.5047 0.2114  1 P 1.51
29 O 0.2442 0.2396 0.8843  1 P 1.56
30 O 0.2794 0.3222 0.6859  2 P 1.61-1.63
31 O 0.2819 0.9709 0.2984  1 P 1.50
32 O 0.3222 0.2794 0.3141  2 P 1.61-1.63
33 O 0.3407 0.8081 0.1019  1 P 1.51
34 O 0.3521 0.5744 0.9736  1 P 1.55
35 O 0.4256 0.6479 0.5264  1 P 1.55
36 O 0.4448 0.8272 0.7444  1 P 1.51
37 O 0.4671 0.1405 0.4428  2 P 1.61-1.64
38 O 0.4953 0.7600 0.2886  1 P 1.51
39 O 0.5047 0.2400 0.7886  1 P 1.51
40 O 0.5329 0.8595 0.9428  2 P 1.61-1.64
41 O 0.5552 0.1728 0.2444  1 P 1.51
42 O 0.5744 0.3521 0.0264  1 P 1.55
43 O 0.6479 0.4256 0.4736  1 P 1.55
44 O 0.6593 0.1919 0.6019  1 P 1.51
45 O 0.6778 0.7206 0.8141  2 P 1.61-1.63
46 O 0.7181 0.0291 0.7984  1 P 1.50
47 O 0.7206 0.6778 0.1859  2 P 1.61-1.63
48 O 0.7558 0.7604 0.3843  1 P 1.56
49 O 0.7600 0.4953 0.7114  1 P 1.51
50 O 0.7604 0.7558 0.6157  1 P 1.56
51 O 0.7638 0.9716 0.2365  1 P 1.51
52 O 0.7741 0.1976 0.4110  1 P 1.52
53 O 0.8024 0.2259 0.0890  1 P 1.52
54 O 0.8081 0.3407 0.8981  1 P 1.51
55 O 0.8272 0.4448 0.2556  1 P 1.51
56 O 0.8595 0.5329 0.0572  2 P 1.61-1.64
57 O 0.9709 0.2819 0.7016  1 P 1.50
58 O 0.9716 0.7638 0.7635  1 P 1.51

(5)
Compound: Li9Mn2Co5O16
Source: the Materials Project database
Functional: GGA+U
Structure: optimized geometry

Summary:
Calculated formation energy: -1789 meV per atom
Crystal system: monoclinic
ΔE to the lowest computed polymorph: 0.075 eV per atom
Magnetization: 12.00 μB/f.u.
Final energy: -5.779 eV/atom
Symmetry: Pm

abc: 10.2939 2.9127 10.3371
angles: 90.00 109.82 90.00
With the nearest neighbours (Å) after each atom.
Fractional positions:
1 Li 0.0000 0.0000 0.0000  6 O 2.08-2.15
2 Li 0.0009 0.5000 0.2440  5 O 2.09-2.30
3 Li 0.0026 0.5000 0.7743  6 O 2.07-2.32
4 Li 0.2489 0.0000 0.2464  6 O 2.04-2.24
5 Li 0.2554 0.0000 0.7636  4 O 2.02-2.11
6 Li 0.4951 0.5000 0.2446  4 O 2.05-2.18
7 Li 0.4987 0.5000 0.7649  5 O 2.09-2.22
8 Li 0.7472 0.0000 0.2393  4 O 2.00-2.13
9 Li 0.7553 0.0000 0.7677  4 O 1.98-2.15
10 Mn 0.4969 0.0000 0.5060  5 O 1.96-2.13
11 Mn 0.7547 0.5000 0.5050  6 O 1.95-1.99
12 Co 0.0044 0.0000 0.5047  5 O 1.93-2.10
13 Co 0.2436 0.5000 0.0073  1 O 1.75
14 Co 0.2464 0.5000 0.5051  6 O 2.04-2.15
15 Co 0.5058 0.0000 0.0094  6 O 1.98-2.06
16 Co 0.7677 0.5000 0.9986  3 O 1.81-1.99
17 O 0.1117 0.5000 0.6115  3 Co 1.93-2.04
18 O 0.1303 0.0000 0.3816  3 Co 2.04-2.10, 3 Li 2.15
19 O 0.1381 0.0000 0.8858  2 Co 1.99, 4 Li 2.02-2.13
20 O 0.1437 0.5000 0.1150  1 Co 1.75
21 O 0.3664 0.0000 0.6280  2 Co 2.05, 3 Li 2.09-2.16, 1 Mn 2.13
22 O 0.3724 0.5000 0.9020  3 Co 1.98-2.05, 2 Li 2.11
23 O 0.3746 0.0000 0.1223  3 Li 2.05-2.11, 3 Co 2.06-2.07
24 O 0.3887 0.5000 0.3940  2 Mn 1.96, 1 Co 2.15, 1 Li 2.18
25 O 0.6193 0.5000 0.1219  2 Co 1.98, 3 Li 2.06-2.08
26 O 0.6220 0.5000 0.6075  3 Mn 1.99
27 O 0.6243 0.0000 0.8911  3 Co 2.00-2.10, 3 Li 2.09-2.15
28 O 0.6504 0.0000 0.3921  2 Mn 1.95, 1 Li 2.13
29 O 0.8588 0.0000 0.6182  2 Mn 1.95, 1 Li 2.15
30 O 0.8665 0.5000 0.8830  1 Co 1.81, 2 Li 1.98
31 O 0.8685 0.0000 0.1235  2 Co 1.99, 4 Li 2.00-2.15
32 O 0.8849 0.5000 0.4043  1 Mn 1.96, 2 Co 1.96

(6)
Compound: NiPO4
Source: the Materials Project database
Functional: GGA+U
Structure: optimized geometry

Summary:
Calculated formation energy: -1920 meV per atom
Crystal system: orthorhombic
Magnetization: 0.98 μB/f.u.
Final energy: -6.203 eV/atom
Symmetry: Cmcm

abc: 4.6388 4.6388 6.1765
angles: 90.00 90.00 111.87
With the nearest neighbours (Å) after each atom.
Fractional positions:
1 Ni 0.0000 0.0000 0.0000  6 O 1.87-2.05
2 Ni 0.0000 0.0000 0.5000  6 O 1.87-2.05
3 P 0.3462 0.6538 0.7500  4 O 1.53-1.59
4 P 0.6538 0.3462 0.2500  4 O 1.53-1.59
5 O 0.2240 0.2857 0.7500  1 P 1.59
6 O 0.2416 0.7584 0.5396  1 P 1.53
7 O 0.2416 0.7584 0.9604  1 P 1.53
8 O 0.2857 0.2240 0.2500  1 P 1.59
9 O 0.7143 0.7760 0.7500  1 P 1.59
10 O 0.7584 0.2416 0.0396  1 P 1.53
11 O 0.7584 0.2416 0.4604  1 P 1.53
12 O 0.7760 0.7143 0.2500  1 P 1.59

magnetization of number 3 (Sr2FeClO3)?
0.00 μB/f.u.

What is the formula in the second record?
KSmMn4O12